A plane-wave DFT calculation with PBE was carried out for a geometry-optimized NaH2S2O4 structure.

Computed properties:
* energy relative to the elements: -1.519 eV/atom
* uncorrected energy: -5.23 eV per atom

Geometry as POSCAR:
```
NaH2S2O4
1.0
-7.450 -3.352 -0.831
-2.846 -6.479 -4.166
-0.074 -4.042 3.688
H S O Na
4 4 8 2
direct
0.477 0.316 0.054 H
0.684 0.523 0.946 H
0.663 0.520 0.241 H
0.480 0.337 0.759 H
0.025 0.023 0.654 S
0.977 0.975 0.346 S
0.365 0.903 0.582 S
0.097 0.635 0.418 S
0.759 0.500 0.083 O
0.528 0.655 0.614 O
0.359 0.000 0.781 O
0.000 0.617 0.676 O
0.345 0.472 0.386 O
0.383 0.000 0.324 O
0.000 0.641 0.219 O
0.500 0.241 0.917 O
0.150 0.311 0.018 Na
0.689 0.850 0.982 Na
```